[1]
Entry from the Materials Project database: a geometry-optimized K2MnS2O12 structure (GGA+U).

Structure (extended XYZ):
```
34
Lattice="5.731 -5.125 0.000 5.731 5.125 0.000 -0.868 0.000 10.026" Properties=species:S:1:pos:R:3 pbc="T T T"
K 3.255 2.609 7.607
K 7.341 2.609 2.419
K 3.255 -2.609 7.607
K 7.341 -2.609 2.419
Mn -0.434 0.000 5.013
Mn 5.731 0.000 0.000
S 1.491 0.000 9.592
S 2.833 0.000 4.775
S 7.763 0.000 5.251
S 9.104 0.000 0.434
O 1.074 1.230 8.911
O 5.073 3.628 3.967
O 1.377 0.000 4.215
O 5.523 3.628 6.059
O 2.059 0.000 1.002
O 3.455 1.216 4.226
O 1.074 -1.230 8.911
O 2.819 0.000 6.242
O 5.731 1.870 0.000
O 3.064 0.000 9.462
O 3.455 -1.216 4.226
O 5.376 0.000 1.845
O 5.219 0.000 8.181
O 7.140 1.216 5.800
O 7.532 0.000 0.564
O 5.731 -1.870 0.000
O 7.777 0.000 3.784
O 9.522 1.230 1.115
O 7.140 -1.216 5.800
O 8.536 0.000 9.024
O 5.073 -3.628 3.967
O 9.219 0.000 5.811
O 5.523 -3.628 6.059
O 9.522 -1.230 1.115
```

Summary:
total energy: -5.364 eV/atom
formation energy: -1.298 eV per atom
mass density: 2.19 Mg/m³

=====

[2]
Entry from the Materials Project database: a geometry-optimized K4Mn2S4O19 structure (GGA+U).

Structure (extended XYZ):
```
116
Lattice="9.740 0.000 0.000 0.000 9.678 0.000 -6.156 0.000 18.714" Properties=species:S:1:pos:R:3 pbc="T T T"
K -2.071 2.363 8.072
K -5.149 2.476 17.430
K -0.995 5.079 4.958
K -4.073 9.438 14.316
K -2.956 5.710 16.400
K 0.122 8.807 7.043
K 3.505 6.836 1.071
K 0.427 7.681 10.428
K 3.157 1.997 8.286
K 0.079 2.842 17.643
K 3.462 0.871 11.672
K 6.540 3.968 2.315
K 7.657 0.240 4.399
K 4.579 4.599 13.756
K 8.733 7.202 1.285
K 5.654 7.315 10.642
Mn 1.711 0.497 2.190
Mn -1.367 4.342 11.547
Mn -0.044 0.081 13.778
Mn 3.034 4.758 4.420
Mn 0.550 4.920 14.294
Mn 3.628 9.597 4.937
Mn 4.951 5.336 7.167
Mn 1.873 9.181 16.525
S -1.611 6.015 8.356
S -4.689 8.502 17.713
S -1.885 6.916 13.365
S 1.193 7.601 4.008
S 1.043 2.024 5.162
S -2.035 2.815 14.519
S -0.008 1.446 10.610
S 3.070 3.393 1.253
S 0.514 6.285 17.461
S 3.592 8.232 8.104
S 5.619 6.863 4.195
S 2.541 7.654 13.552
S 2.390 2.077 14.706
S 5.469 2.762 5.349
S 8.273 1.176 1.002
S 5.195 3.663 10.359
O -3.562 0.584 11.243
O -0.483 4.255 1.886
O -0.268 0.374 1.457
O -3.346 4.465 10.814
O -5.112 7.173 18.278
O -2.034 7.344 8.921
O -3.273 6.636 13.756
O -0.195 7.881 4.398
O -0.693 6.227 7.235
O -3.771 8.290 16.592
O -0.095 1.847 6.085
O -3.173 2.992 15.442
O 0.690 1.417 3.849
O -2.388 3.422 13.206
O -0.936 5.256 9.451
O 2.142 9.261 0.094
O -1.618 6.362 11.985
O 1.460 8.155 2.628
O 2.060 2.263 1.270
O -1.018 2.576 10.627
O 1.414 6.136 3.956
O -1.664 8.381 13.313
O -0.248 0.670 9.374
O 2.830 4.169 0.017
O -1.748 1.353 14.345
O 1.330 3.486 4.988
O -0.301 0.530 11.774
O 2.777 4.309 2.416
O -0.942 6.303 14.345
O 2.136 8.214 4.988
O -1.722 0.876 16.832
O 1.356 3.962 7.475
O 2.261 1.359 5.731
O -0.817 3.480 15.088
O 3.340 0.426 3.151
O 0.262 4.413 12.508
O 1.358 1.974 10.646
O 4.436 2.865 1.289
O -0.852 6.813 17.425
O 2.226 7.704 8.068
O 3.322 5.265 6.207
O 0.244 9.252 15.564
O 4.401 6.198 3.626
O 1.323 8.319 12.983
O 2.228 5.715 11.239
O 5.306 8.801 1.882
O 1.448 1.464 13.726
O 4.526 3.375 4.369
O 0.807 5.369 16.298
O 3.885 9.148 6.941
O 2.254 6.191 13.726
O 5.332 8.325 4.369
O 0.754 5.509 18.697
O 3.832 9.008 9.340
O 5.248 1.297 5.401
O 2.170 3.542 14.758
O 4.602 7.102 8.088
O 1.524 7.415 17.445
O 2.124 1.523 16.086
O 5.202 3.316 6.729
O 1.441 0.417 18.621
O 4.520 4.422 9.263
O 5.972 6.256 5.508
O 2.894 8.261 14.866
O 6.757 6.686 3.272
O 3.679 7.831 12.630
O 7.355 1.388 2.122
O 4.277 3.451 11.479
O 3.779 1.797 14.316
O 6.857 3.042 4.959
O 5.618 2.334 9.794
O 8.696 2.505 0.437
O 6.930 5.213 7.900
O 3.852 9.304 17.257
O 4.067 5.423 16.828
O 7.146 9.094 7.471
```

Summary:
total energy: -5.811 eV/atom
formation energy: -1.779 eV per atom
mass density: 2.63 Mg/m³

=====

[3]
Entry from the Materials Project database: a geometry-optimized K2MnS2O12 structure (GGA+U).

Structure (extended XYZ):
```
34
Lattice="6.203 -4.451 0.000 6.203 4.451 0.000 -0.473 0.000 11.341" Properties=species:S:1:pos:R:3 pbc="T T T"
K 1.484 0.000 4.507
K 3.635 0.000 10.747
K 8.297 0.000 0.593
K 10.448 0.000 6.834
Mn 0.000 0.000 0.000
Mn 5.966 0.000 5.670
S 4.046 2.261 2.904
S 7.886 2.261 8.437
S 4.046 -2.261 2.904
S 7.886 -2.261 8.437
O 4.656 3.184 10.898
O 5.248 3.100 3.111
O 2.892 1.330 8.488
O 4.163 1.485 1.644
O 3.874 1.298 4.032
O 6.685 3.100 8.230
O 7.276 3.184 0.443
O 5.119 1.308 6.412
O 2.892 -1.330 8.488
O 6.813 1.308 4.929
O 3.874 -1.298 4.032
O 7.769 1.485 9.697
O 4.163 -1.485 1.644
O 8.058 1.298 7.309
O 5.119 -1.308 6.412
O 9.040 1.330 2.853
O 6.813 -1.308 4.929
O 4.656 -3.184 10.898
O 5.248 -3.100 3.111
O 8.058 -1.298 7.309
O 7.769 -1.485 9.697
O 9.040 -1.330 2.853
O 6.685 -3.100 8.230
O 7.276 -3.184 0.443
```

Summary:
total energy: -5.339 eV/atom
formation energy: -1.273 eV per atom
mass density: 2.06 Mg/m³